# La2MgSe4 GGA-PBE relaxed
data_La2MgSe4
_chemical_formula_sum 'La16 Mg8 Se32'
_space_group_name_H-M_alt 'P 1'
_space_group_IT_number 1
_space_group_name_Hall 'P 1'
_cell_length_a 13.821
_cell_length_b 8.295
_cell_length_c 13.761
_cell_angle_alpha 90.00
_cell_angle_beta 90.00
_cell_angle_gamma 90.00
loop_
_atom_site_label
_atom_site_fract_x
_atom_site_fract_y
_atom_site_fract_z
La1 0.891 0.113 0.185
La2 0.109 0.887 0.685
La3 0.135 0.631 0.994
La4 0.373 0.385 0.825
La5 0.609 0.113 0.685
La6 0.635 0.369 0.994
La7 0.627 0.615 0.325
La8 0.136 0.131 0.993
La9 0.127 0.385 0.325
La10 0.364 0.131 0.493
La11 0.636 0.869 0.993
La12 0.865 0.369 0.494
La13 0.365 0.631 0.494
La14 0.391 0.887 0.185
La15 0.873 0.615 0.825
La16 0.864 0.869 0.493
Se1 0.731 0.863 0.773
Se2 0.210 0.382 0.525
Se3 0.209 0.882 0.495
Se4 0.709 0.118 0.495
Se5 0.473 0.385 0.629
Se6 0.735 0.360 0.777
Se7 0.291 0.882 0.995
Se8 0.548 0.126 0.141
Se9 0.990 0.116 0.380
Se10 0.790 0.618 0.025
Se11 0.231 0.137 0.773
Se12 0.269 0.137 0.273
Se13 0.490 0.884 0.380
Se14 0.048 0.874 0.141
Se15 0.290 0.382 0.025
Se16 0.765 0.360 0.277
Se17 0.027 0.385 0.129
Se18 0.791 0.118 0.995
Se19 0.265 0.640 0.277
Se20 0.710 0.618 0.525
Se21 0.526 0.627 0.867
Se22 0.527 0.615 0.129
Se23 0.769 0.863 0.273
Se24 0.973 0.615 0.629
Se25 0.235 0.640 0.777
Se26 0.026 0.373 0.867
Se27 0.952 0.126 0.641
Se28 0.452 0.874 0.641
Se29 0.510 0.116 0.880
Se30 0.474 0.373 0.367
Se31 0.974 0.627 0.367
Se32 0.010 0.884 0.880
Mg1 0.874 0.120 0.820
Mg2 0.612 0.615 0.694
Mg3 0.888 0.615 0.194
Mg4 0.126 0.880 0.320
Mg5 0.374 0.880 0.820
Mg6 0.626 0.120 0.320
Mg7 0.112 0.385 0.694
Mg8 0.388 0.385 0.194
# Crystal system: orthorhombic
# Symmetry: Pca2_1 (29)
# Calculated density in g/cm3: 5.203
# Formation energy in eV/atom: -2.03
# Energy above the lowest structure with this stoichiometry in meV/atom: 2
# Final energy in eV/f.u.: -37.75



# Ca10Si3Pt7 GGA-PBE relaxed
data_Ca10Si3Pt7
_chemical_formula_sum 'Ca20 Si6 Pt14'
_space_group_name_H-M_alt 'P 1'
_space_group_IT_number 1
_space_group_name_Hall 'P 1'
_cell_length_a 8.834
_cell_length_b 8.834
_cell_length_c 13.855
_cell_angle_alpha 90.00
_cell_angle_beta 90.00
_cell_angle_gamma 120.00
loop_
_atom_site_label
_atom_site_fract_x
_atom_site_fract_y
_atom_site_fract_z
Ca1 0.000 0.259 0.106
Ca2 0.333 0.667 0.250
Ca3 0.667 0.333 0.750
Ca4 0.000 0.741 0.606
Ca5 0.333 0.667 0.500
Ca6 0.667 0.333 0.250
Ca7 0.259 0.259 0.606
Ca8 0.333 0.667 0.750
Ca9 0.741 0.741 0.394
Ca10 0.259 0.259 0.894
Ca11 0.741 0.000 0.894
Ca12 0.000 0.741 0.894
Ca13 0.667 0.333 0.000
Ca14 0.259 0.000 0.106
Ca15 0.259 0.000 0.394
Ca16 0.741 0.000 0.606
Ca17 0.667 0.333 0.500
Ca18 0.000 0.259 0.394
Ca19 0.741 0.741 0.106
Ca20 0.333 0.667 0.000
Pt1 0.409 0.000 0.599
Pt2 0.591 0.000 0.401
Pt3 0.000 0.000 0.250
Pt4 0.000 0.591 0.099
Pt5 0.591 0.591 0.901
Pt6 0.000 0.409 0.599
Pt7 0.000 0.591 0.401
Pt8 0.000 0.000 0.750
Pt9 0.409 0.409 0.099
Pt10 0.409 0.409 0.401
Pt11 0.409 0.000 0.901
Pt12 0.000 0.409 0.901
Pt13 0.591 0.000 0.099
Pt14 0.591 0.591 0.599
Si1 0.281 0.000 0.750
Si2 0.719 0.719 0.750
Si3 0.000 0.719 0.250
Si4 0.719 0.000 0.250
Si5 0.000 0.281 0.750
Si6 0.281 0.281 0.250
# Crystal system: hexagonal
# Symmetry: P6_3/mcm (193)
# Calculated density in g/cm3: 6.564
# Formation energy in eV/atom: -0.92
# Final energy in eV/f.u.: -97.23



# Mg16Al12H GGA-PBE relaxed
data_Mg16Al12H
_chemical_formula_sum 'Mg16 Al12 H1'
_space_group_name_H-M_alt 'P 1'
_space_group_IT_number 1
_space_group_name_Hall 'P 1'
_cell_length_a 9.105
_cell_length_b 9.105
_cell_length_c 9.060
_cell_angle_alpha 70.48
_cell_angle_beta 70.48
_cell_angle_gamma 109.50
loop_
_atom_site_label
_atom_site_fract_x
_atom_site_fract_y
_atom_site_fract_z
Mg1 0.394 0.993 0.308
Mg2 0.677 0.996 0.588
Mg3 0.987 0.648 0.992
Mg4 0.564 0.564 0.696
Mg5 0.671 0.393 0.991
Mg6 0.987 0.987 0.339
Mg7 0.283 0.576 0.407
Mg8 0.305 0.709 0.678
Mg9 0.393 0.671 0.991
Mg10 0.305 0.305 0.276
Mg11 0.993 0.394 0.308
Mg12 0.996 0.677 0.588
Mg13 0.648 0.987 0.992
Mg14 0.709 0.305 0.678
Mg15 0.576 0.283 0.407
Mg16 0.013 0.013 0.970
Al1 0.819 0.631 0.351
Al2 0.181 0.800 0.182
Al3 0.177 0.992 0.626
Al4 0.800 0.181 0.182
Al5 0.804 0.804 0.801
Al6 0.987 0.358 0.810
Al7 0.354 0.170 0.997
Al8 0.992 0.177 0.626
Al9 0.358 0.987 0.810
Al10 0.631 0.819 0.351
Al11 0.170 0.354 0.997
Al12 0.635 0.635 0.166
H1 0.590 0.590 0.894
# Crystal system: monoclinic
# Symmetry: Cm (8)
# Calculated density in g/cm3: 2.053
# Formation energy in eV/atom: 0.01
# Final energy in eV/f.u.: -73.51